Compound: U2Cl2O
Source: the Materials Project database
Functional: PBE
Structure: optimized geometry

ΔE_f, eV per formula unit: -5.36
Total energy, eV per atom: -7.180

a b c (Å): 3.3694 3.3694 12.3957
angles (deg): 90.00 90.00 90.00
With the nearest neighbours (Å) after each atom.
Space group P4/mmm (No. 123)
Asymmetric unit:
U: 0.0000 0.0000 0.1661  1 O 2.06
Cl: 0.0000 0.0000 0.3648  1 U 2.46
O: 0.0000 0.0000 0.0000  2 U 2.06



Compound: Y3Cl2O6
Source: the Materials Project database
Functional: PBE
Structure: optimized geometry

ΔE_f, eV per formula unit: -25.42
Total energy, eV per atom: -6.735

a b c (Å): 3.9438 13.7784 7.5364
angles (deg): 90.00 90.00 90.00
With the nearest neighbours (Å) after each atom.
Space group Pmmn (No. 59, origin choice 2)
Asymmetric unit:
Y: 0.2500 0.1034 0.0838  7 O 2.28-2.39
Y: 0.2500 0.7500 0.5947  4 O 2.33-2.36
Cl: 0.2500 0.1325 0.5782  2 Y 2.86, 2 O 3.06-3.15
O: 0.2500 0.2500 0.2333  1 O 2.23, 4 Y 2.31-2.36
O: 0.2500 0.2500 0.9375  1 O 2.23, 2 Y 2.30
O: 0.2500 0.5693 0.0551  3 Y 2.28-2.39, 1 O 2.32
O: 0.2500 0.6058 0.7551  3 Y 2.32-2.33, 1 O 2.32



Compound: Y2Cl2O
Source: the Materials Project database
Functional: PBE
Structure: optimized geometry

ΔE_f, eV per formula unit: -7.46
Total energy, eV per atom: -5.670

a b c (Å): 4.1845 4.1845 12.7145
angles (deg): 90.00 90.00 90.00
With the nearest neighbours (Å) after each atom.
Space group P4/mmm (No. 123)
Asymmetric unit:
Y: 0.0000 0.0000 0.1625  1 O 2.07
Cl: 0.0000 0.0000 0.3561  1 Y 2.46
O: 0.0000 0.0000 0.0000  2 Y 2.07



Compound: ZnClO
Source: the Materials Project database
Functional: PBE
Structure: optimized geometry

ΔE_f, eV per formula unit: -2.69
Total energy, eV per atom: -3.354

a b c (Å): 5.6679 11.4287 6.5695
angles (deg): 90.00 90.00 90.00
With the nearest neighbours (Å) after each atom.
Space group Pbca (No. 61)
Asymmetric unit:
Zn: 0.2384 0.0071 0.1250  3 O 2.00-2.01
Cl: 0.0428 0.1481 0.4155  2 Zn 2.38-2.57
O: 0.0894 0.0599 0.8637  3 Zn 2.00-2.01